[1]
Material: Fe3OF5
Method: DFT, PBE with a Hubbard U
State: optimized geometry

a = 4.8494 Å, b = 5.8293 Å, c = 7.9313 Å
α = 86.23°, β = 88.80°, γ = 88.96°
With the nearest neighbours (Å) after each atom.
Atoms (fractional coordinates):
1 Fe 0.0000 0.0000 0.0000  6 F 2.04-2.12
2 Fe 0.0189 0.6542 0.3253  1 O 2.02, 5 F 2.13-2.18
3 Fe 0.4752 0.1905 0.3332  1 O 1.93, 4 F 2.04-2.12
4 Fe 0.5000 0.5000 0.0000  2 O 1.93, 4 F 2.07-2.09
5 Fe 0.5248 0.8095 0.6668  1 O 1.93, 4 F 2.04-2.12
6 Fe 0.9811 0.3458 0.6747  1 O 2.02, 5 F 2.13-2.18
7 O 0.3169 0.4629 0.2183  3 Fe 1.93-2.02
8 O 0.6831 0.5371 0.7817  3 Fe 1.93-2.02
9 F 0.2011 0.9720 0.2361  3 Fe 2.05-2.14
10 F 0.2016 0.6407 0.5684  3 Fe 2.06-2.16
11 F 0.2092 0.2936 0.9006  3 Fe 2.07-2.13
12 F 0.3014 0.7985 0.9003  3 Fe 2.04-2.12
13 F 0.3029 0.1289 0.5678  3 Fe 2.04-2.24
14 F 0.6971 0.8711 0.4322  3 Fe 2.04-2.24
15 F 0.6986 0.2015 0.0997  3 Fe 2.04-2.12
16 F 0.7908 0.7064 0.0994  3 Fe 2.07-2.13
17 F 0.7984 0.3593 0.4316  3 Fe 2.06-2.16
18 F 0.7989 0.0280 0.7639  3 Fe 2.05-2.14

***

[2]
Material: LiMnBO3
Method: DFT, PBE with a Hubbard U
State: optimized geometry

Computed properties:
* piezoelectric modulus e_max: 1.12 C/m2

a = 6.3894 Å, b = 8.2704 Å, c = 8.8660 Å
α = 117.80°, β = 68.88°, γ = 90.00°
With the nearest neighbours (Å) after each atom.
Atoms (fractional coordinates):
1 O 0.9032 0.0786 0.1936  1 B 1.39
2 O 0.4608 0.1397 0.5784  1 B 1.39
3 O 0.1395 0.7479 0.2209  1 B 1.39
4 O 0.4865 0.7791 0.5270  1 B 1.39
5 O 0.5575 0.8064 0.8850  1 B 1.39
6 O 0.1240 0.4730 0.2521  1 B 1.39
7 O 0.8198 0.4387 0.8603  1 B 1.39
8 O 0.4032 0.0786 0.1936  1 B 1.39
9 O 0.6240 0.4730 0.2521  1 B 1.39
10 O 0.9608 0.1397 0.5784  1 B 1.39
11 O 0.5393 0.1150 0.9214  1 B 1.39
12 O 0.9865 0.7791 0.5270  1 B 1.39
13 O 0.0575 0.8064 0.8850  1 B 1.39
14 O 0.4694 0.4216 0.5613  1 B 1.39
15 O 0.0393 0.1150 0.9214  1 B 1.39
16 O 0.3198 0.4387 0.8603  1 B 1.39
17 O 0.9694 0.4216 0.5613  1 B 1.39
18 O 0.6395 0.7479 0.2209  1 B 1.39
19 Mn 0.9948 0.6389 0.0105  5 O 2.11-2.20
20 Mn 0.1858 0.9895 0.6284  5 O 2.11-2.20
21 Mn 0.6858 0.9895 0.6284  5 O 2.11-2.20
22 Mn 0.8194 0.3716 0.3611  5 O 2.11-2.20
23 Mn 0.4948 0.6389 0.0105  5 O 2.11-2.20
24 Mn 0.3194 0.3716 0.3611  5 O 2.11-2.20
25 Li 0.8915 0.7014 0.7171  4 O 1.97-2.01
26 Li 0.2578 0.2829 0.9844  4 O 1.97-2.01
27 Li 0.1007 0.0156 0.2986  4 O 1.97-2.01
28 Li 0.6007 0.0156 0.2986  4 O 1.97-2.01
29 Li 0.3915 0.7014 0.7171  4 O 1.97-2.01
30 Li 0.7578 0.2829 0.9844  4 O 1.97-2.01
31 B 0.5833 0.6667 0.3333  3 O 1.39
32 B 0.0000 0.0000 0.0000  3 O 1.39
33 B 0.9167 0.3333 0.6667  3 O 1.39
34 B 0.0833 0.6667 0.3333  3 O 1.39
35 B 0.5000 0.0000 0.0000  3 O 1.39
36 B 0.4167 0.3333 0.6667  3 O 1.39

***

[3]
Material: CrP5O15
Method: DFT, PBE with a Hubbard U
State: optimized geometry

a = 5.2151 Å, b = 9.7284 Å, c = 13.1156 Å
α = 90.00°, β = 109.90°, γ = 90.00°
With the nearest neighbours (Å) after each atom.
Atoms (fractional coordinates):
1 Cr 0.0000 0.0027 0.0000  6 O 1.98-2.07
2 Cr 0.0000 0.9973 0.5000  6 O 1.98-2.07
3 P 0.0011 0.0168 0.7497  4 O 1.51-1.62
4 P 0.0011 0.9832 0.2497  4 O 1.51-1.62
5 P 0.4208 0.1771 0.9154  4 O 1.50-1.61
6 P 0.4208 0.8229 0.4154  4 O 1.50-1.61
7 P 0.4629 0.4701 0.8531  4 O 1.50-1.61
8 P 0.4629 0.5299 0.3531  4 O 1.50-1.61
9 P 0.5126 0.4677 0.6355  4 O 1.50-1.60
10 P 0.5126 0.5323 0.1355  4 O 1.50-1.60
11 P 0.5781 0.1739 0.5822  4 O 1.50-1.61
12 P 0.5781 0.8261 0.0822  4 O 1.50-1.61
13 O 0.0363 0.0608 0.1560  1 P 1.51
14 O 0.0363 0.9392 0.6560  1 P 1.51
15 O 0.2379 0.4863 0.0598  1 P 1.51
16 O 0.2379 0.5137 0.5598  1 P 1.51
17 O 0.2614 0.1183 0.7956  2 P 1.61-1.62
18 O 0.2614 0.8817 0.2956  2 P 1.61-1.62
19 O 0.2691 0.4106 0.3349  1 P 1.50
20 O 0.2691 0.5894 0.8349  1 P 1.50
21 O 0.2799 0.1476 0.5595  1 P 1.50
22 O 0.2799 0.8524 0.0595  1 P 1.50
23 O 0.2918 0.1314 0.9962  1 P 1.50
24 O 0.2918 0.8686 0.4962  1 P 1.50
25 O 0.3532 0.3383 0.8972  2 P 1.59-1.61
26 O 0.3532 0.6617 0.3972  2 P 1.59-1.61
27 O 0.4867 0.4042 0.7445  2 P 1.60-1.61
28 O 0.4867 0.5958 0.2445  2 P 1.60-1.61
29 O 0.6322 0.3365 0.5947  2 P 1.59-1.61
30 O 0.6322 0.6635 0.0947  2 P 1.59-1.61
31 O 0.7008 0.4108 0.1524  1 P 1.50
32 O 0.7008 0.5892 0.6524  1 P 1.50
33 O 0.7055 0.1262 0.5014  1 P 1.50
34 O 0.7055 0.8738 0.0014  1 P 1.50
35 O 0.7213 0.1551 0.9409  1 P 1.50
36 O 0.7213 0.8449 0.4409  1 P 1.50
37 O 0.7363 0.4791 0.4267  1 P 1.51
38 O 0.7363 0.5209 0.9267  1 P 1.51
39 O 0.7479 0.1228 0.7032  2 P 1.61-1.62
40 O 0.7479 0.8772 0.2032  2 P 1.61-1.62
41 O 0.9608 0.0574 0.3438  1 P 1.51
42 O 0.9608 0.9426 0.8438  1 P 1.51

***

[4]
Material: PrW2O6
Method: DFT, PBE with a Hubbard U
State: optimized geometry

a = 5.5593 Å, b = 5.7099 Å, c = 7.9661 Å
α = 90.58°, β = 90.42°, γ = 90.01°
With the nearest neighbours (Å) after each atom.
Atoms (fractional coordinates):
1 Pr 0.0000 0.0000 0.0000  6 O 2.37-2.65
2 Pr 0.4924 0.3932 0.4992  6 O 2.39-2.59
3 W 0.0052 0.4574 0.7490  6 O 2.03-2.13
4 W 0.0055 0.4577 0.2476  6 O 1.94-2.07
5 W 0.5061 0.9427 0.7514  6 O 1.93-2.04
6 W 0.5095 0.9404 0.2521  6 O 2.01-2.14
7 O 0.0686 0.4272 0.0003  2 W 2.01-2.04
8 O 0.2286 0.1720 0.2827  2 W 2.06-2.07
9 O 0.2311 0.1741 0.7158  2 W 2.04-2.06
10 O 0.2899 0.6442 0.2948  2 W 1.94-2.12
11 O 0.3151 0.6666 0.7071  2 W 1.93-2.13
12 O 0.4208 0.9361 0.9996  2 W 2.04-2.07
13 O 0.5679 0.9702 0.5010  2 W 2.01-2.03
14 O 0.7206 0.2126 0.7840  2 W 1.96-2.13
15 O 0.7393 0.2377 0.2202  2 W 1.95-2.14
16 O 0.8054 0.7469 0.7977  2 W 2.03-2.04
17 O 0.8064 0.7460 0.2040  2 W 2.02-2.03
18 O 0.9159 0.4646 0.4996  2 W 2.04-2.07

***

[5]
Material: Li2Mn3O6
Method: DFT, PBE with a Hubbard U
State: optimized geometry

a = 5.7524 Å, b = 7.2857 Å, c = 10.4682 Å
α = 95.60°, β = 93.00°, γ = 91.52°
With the nearest neighbours (Å) after each atom.
Atoms (fractional coordinates):
1 Li 0.0000 0.0000 0.0000  4 O 1.99-2.08
2 Li 0.9997 0.2939 0.6919  5 O 2.01-2.14
3 Li 0.2364 0.6784 0.5922  5 O 2.01-2.11
4 Li 0.2436 0.6645 0.0973  5 O 2.02-2.12
5 Li 0.2457 0.9575 0.2735  5 O 1.99-2.19
6 Li 0.4785 0.6751 0.8269  4 O 2.00-2.05
7 Li 0.9948 0.0018 0.5102  5 O 1.99-2.16
8 Li 0.9968 0.2924 0.1903  5 O 2.00-2.14
9 Mn 0.2322 0.3152 0.9331  4 O 1.93-1.99
10 Mn 0.2372 0.3167 0.4335  5 O 1.95-2.17
11 Mn 0.4829 0.9759 0.5104  4 O 1.90-2.01
12 Mn 0.4842 0.9850 0.0050  4 O 1.91-2.00
13 Mn 0.5011 0.3151 0.6943  6 O 1.94-2.01
14 Mn 0.5025 0.3205 0.1958  6 O 1.92-2.04
15 Mn 0.7370 0.6405 0.0909  5 O 1.93-2.05
16 Mn 0.7369 0.6405 0.5855  5 O 1.93-2.08
17 Mn 0.7495 0.9866 0.2707  6 O 1.91-2.03
18 Mn 0.7530 0.9910 0.7688  6 O 1.89-2.03
19 Mn 0.9968 0.6529 0.8472  4 O 1.94-1.99
20 Mn 0.9991 0.6456 0.3483  4 O 1.92-2.01
21 O 0.0065 0.1401 0.8442  2 Mn 1.89-1.93, 2 Li 2.01-2.04
22 O 0.0117 0.1359 0.3414  2 Mn 1.91-1.97, 3 Li 2.01-2.11
23 O 0.2260 0.8249 0.4385  2 Mn 1.90-1.96, 3 Li 2.00-2.07
24 O 0.2439 0.8088 0.9403  2 Mn 1.91-1.95, 3 Li 2.04-2.08
25 O 0.2591 0.4504 0.2822  2 Mn 1.93-1.95, 1 Li 2.02
26 O 0.2618 0.1632 0.0809  3 Mn 1.99-2.04, 2 Li 1.99-2.14
27 O 0.2630 0.1660 0.5800  3 Mn 1.97-2.01, 2 Li 1.99-2.14
28 O 0.2631 0.4557 0.7833  2 Mn 1.95-1.97, 2 Li 2.00-2.03
29 O 0.4696 0.4671 0.5448  3 Mn 1.96-2.01, 1 Li 2.11
30 O 0.4702 0.4679 0.0445  3 Mn 1.97-2.00, 1 Li 2.02
31 O 0.5062 0.1459 0.3345  2 Mn 1.95-2.02, 1 Li 2.04
32 O 0.5162 0.1510 0.8366  2 Mn 1.93-2.00
33 O 0.5234 0.8241 0.1667  3 Mn 1.95-2.16, 1 Li 2.02
34 O 0.5275 0.8144 0.6699  3 Mn 1.95-2.14, 2 Li 2.01-2.04
35 O 0.7245 0.1325 0.1189  1 Li 2.00, 3 Mn 2.00-2.03
36 O 0.7250 0.1325 0.6196  3 Mn 1.96-2.01, 2 Li 2.01-2.16
37 O 0.7293 0.8418 0.9212  2 Mn 1.97-2.02, 2 Li 2.00-2.01
38 O 0.7305 0.8427 0.4259  2 Mn 1.95-2.02, 1 Li 2.00
39 O 0.7540 0.4925 0.7460  3 Mn 1.94-2.08, 1 Li 2.11
40 O 0.7675 0.4837 0.2430  3 Mn 1.92-2.05, 1 Li 2.00
41 O 0.9710 0.7983 0.6959  3 Mn 1.99-2.03, 1 Li 2.08
42 O 0.9764 0.7987 0.1991  2 Li 1.99-2.12, 3 Mn 2.00-2.03
43 O 0.9776 0.5179 0.9974  2 Mn 1.93-1.94, 1 Li 2.03
44 O 0.9820 0.5142 0.4978  2 Mn 1.92-1.93, 1 Li 2.02

***

Calculated values (eV per atom) of ΔE_f for the records, taken in order: -2.3406 -2.5143 -2.3488 -2.5270 -2.0190.
Calculated values (μB per atom) of magnetization for the records, taken in order: 1.44 0.00 0.24 0.33 1.00.